[1]
# Rb3Ti

An optimized crystal structure of Rb3Ti (PBE, Materials Project).

## Properties
Relative energy among the computed polymorphs = 0.09 eV per formula unit

Cell lengths 6.2294, 6.2294, 6.2294 Å; angles 90.00, 90.00, 90.00 degrees
Fractional coordinates of all 4 atoms:
Rb1 0.5000 0.5000 0.0000
Rb2 0.0000 0.5000 0.5000
Rb3 0.5000 0.0000 0.5000
Ti1 0.0000 0.0000 0.0000

[2]
# LiMg2

An optimized crystal structure of LiMg2 (PBE, Materials Project).

Cell lengths 5.4731, 5.4731, 4.9824 Å; angles 90.00, 90.00, 120.00 degrees
Fractional coordinates of all 6 atoms:
Mg1 0.3366 0.3366 0.0000
Mg2 0.0000 0.6634 0.0000
Mg3 0.0000 0.0000 0.5000
Mg4 0.6634 0.0000 0.0000
Li1 0.6667 0.3333 0.5000
Li2 0.3333 0.6667 0.5000

[3]
# B2Pb6SO12

An optimized crystal structure of B2Pb6SO12 (PBE, Materials Project).

Cell lengths 6.5957, 11.9382, 18.3083 Å; angles 90.00, 90.00, 90.00 degrees
Fractional coordinates of all 84 atoms:
O1 0.5742 0.2500 0.3358
O2 0.3657 0.4064 0.2178
O3 0.0224 0.2500 0.4475
O4 0.6659 0.6469 0.5228
O5 0.2844 0.7500 0.3571
O6 0.1659 0.8531 0.9772
O7 0.5224 0.2500 0.0525
O8 0.8657 0.4064 0.2822
O9 0.4252 0.9925 0.3302
O10 0.9731 0.5998 0.2844
O11 0.8657 0.0936 0.2822
O12 0.4776 0.7500 0.9475
O13 0.5748 0.4925 0.6698
O14 0.1343 0.9064 0.7178
O15 0.4731 0.5998 0.2156
O16 0.0748 0.4925 0.8302
O17 0.7156 0.2500 0.6429
O18 0.0269 0.0998 0.7156
O19 0.3341 0.1469 0.4772
O20 0.6519 0.2500 0.9278
O21 0.1659 0.6469 0.9772
O22 0.5269 0.4002 0.7844
O23 0.3341 0.3531 0.4772
O24 0.4731 0.9002 0.2156
O25 0.6343 0.5936 0.7822
O26 0.6659 0.8531 0.5228
O27 0.9258 0.7500 0.8358
O28 0.6343 0.9064 0.7822
O29 0.9776 0.7500 0.5525
O30 0.1343 0.5936 0.7178
O31 0.0742 0.2500 0.1642
O32 0.1519 0.2500 0.5722
O33 0.3481 0.7500 0.0722
O34 0.8341 0.3531 0.0228
O35 0.9252 0.9925 0.1698
O36 0.8341 0.1469 0.0228
O37 0.4252 0.5075 0.3302
O38 0.9731 0.9002 0.2844
O39 0.5748 0.0075 0.6698
O40 0.8481 0.7500 0.4278
O41 0.0269 0.4002 0.7156
O42 0.2156 0.2500 0.8571
O43 0.7844 0.7500 0.1429
O44 0.0748 0.0075 0.8302
O45 0.5269 0.0998 0.7844
O46 0.4258 0.7500 0.6642
O47 0.9252 0.5075 0.1698
O48 0.3657 0.0936 0.2178
S1 0.7869 0.7500 0.5080
S2 0.7131 0.2500 0.0080
S3 0.2131 0.2500 0.4920
S4 0.2869 0.7500 0.9920
B1 0.9211 0.5033 0.2462
B2 0.4211 0.5033 0.2538
B3 0.0789 0.4967 0.7538
B4 0.5789 0.0033 0.7462
B5 0.9211 0.9967 0.2462
B6 0.4211 0.9967 0.2538
B7 0.0789 0.0033 0.7538
B8 0.5789 0.4967 0.7462
Pb1 0.7749 0.7500 0.7094
Pb2 0.3319 0.9050 0.6063
Pb3 0.3319 0.5950 0.6063
Pb4 0.8556 0.4074 0.6052
Pb5 0.9037 0.2500 0.7994
Pb6 0.4037 0.2500 0.7006
Pb7 0.7251 0.2500 0.2094
Pb8 0.6444 0.5926 0.1052
Pb9 0.1444 0.5926 0.3948
Pb10 0.2251 0.2500 0.2906
Pb11 0.8556 0.0926 0.6052
Pb12 0.1681 0.0950 0.1063
Pb13 0.8319 0.9050 0.8937
Pb14 0.3556 0.0926 0.8948
Pb15 0.6681 0.4050 0.3937
Pb16 0.6681 0.0950 0.3937
Pb17 0.3556 0.4074 0.8948
Pb18 0.0963 0.7500 0.2006
Pb19 0.8319 0.5950 0.8937
Pb20 0.1444 0.9074 0.3948
Pb21 0.5963 0.7500 0.2994
Pb22 0.6444 0.9074 0.1052
Pb23 0.2749 0.7500 0.7906
Pb24 0.1681 0.4050 0.1063

[4]
# Ca2LaF7

An optimized crystal structure of Ca2LaF7 (PBE, Materials Project).

Cell lengths 4.0009, 4.0009, 9.8875 Å; angles 89.15, 89.15, 61.42 degrees
Fractional coordinates of all 10 atoms:
F1 0.0149 0.0149 0.2642
F2 0.3688 0.3688 0.8725
F3 0.0113 0.0113 0.7418
F4 0.3351 0.3351 0.5828
F5 0.3586 0.3586 0.1236
F6 0.6980 0.6980 0.9864
F7 0.6739 0.6739 0.4282
La1 0.0336 0.0336 0.0001
Ca1 0.3428 0.3428 0.3516
Ca2 0.6544 0.6544 0.6655

| no. | raw total energy (eV per cell) |
| --- | --- |
| 1 | -7.18 |
| 2 | -10.41 |
| 3 | -529.75 |
| 4 | -61.58 |